1.
A plane-wave DFT calculation with PBE-GGA was carried out for a relaxed CeSiBO5 crystal.

V = 93 Å³/f.u.
space-group type = No. 144

CIF file:
```
data_CeSiBO5
_cell_length_a 6.897
_cell_length_b 6.897
_cell_length_c 6.747
_cell_angle_alpha 90.00
_cell_angle_beta 90.00
_cell_angle_gamma 120.00
_symmetry_space_group_name_H-M 'P 1'
_symmetry_Int_Tables_number 1
loop_
_symmetry_equiv_pos_as_xyz
'x,y,z'
loop_
_atom_site_label
_atom_site_type_symbol
_atom_site_fract_x
_atom_site_fract_y
_atom_site_fract_z
Ce1 Ce 0.000 0.589 0.000
Ce2 Ce 0.411 0.411 0.333
Ce3 Ce 0.589 0.000 0.667
Si1 Si 0.002 0.584 0.501
Si2 Si 0.416 0.418 0.834
Si3 Si 0.582 0.998 0.167
B1 B 0.115 0.014 0.641
B2 B 0.899 0.885 0.307
B3 B 0.986 0.101 0.974
O1 O 0.060 0.053 0.442
O2 O 0.140 0.808 0.649
O3 O 0.149 0.544 0.336
O4 O 0.192 0.332 0.982
O5 O 0.349 0.195 0.691
O6 O 0.395 0.851 0.003
O7 O 0.456 0.605 0.669
O8 O 0.526 0.137 0.328
O9 O 0.611 0.474 0.995
O10 O 0.668 0.860 0.315
O11 O 0.805 0.154 0.024
O12 O 0.846 0.651 0.357
O13 O 0.863 0.389 0.661
O14 O 0.947 0.007 0.776
O15 O 0.993 0.940 0.109
```

2.
A plane-wave DFT calculation with PBE-GGA was carried out for a relaxed Mg9Si5 crystal.

V = 278 Å³/f.u.
space-group type = No. 1

CIF file:
```
data_Mg9Si5
_cell_length_a 7.256
_cell_length_b 7.283
_cell_length_c 12.219
_cell_angle_alpha 84.81
_cell_angle_beta 79.19
_cell_angle_gamma 61.43
_symmetry_space_group_name_H-M 'P 1'
_symmetry_Int_Tables_number 1
loop_
_symmetry_equiv_pos_as_xyz
'x,y,z'
loop_
_atom_site_label
_atom_site_type_symbol
_atom_site_fract_x
_atom_site_fract_y
_atom_site_fract_z
Mg1 Mg 0.000 0.000 0.000
Mg2 Mg 0.003 0.664 0.289
Mg3 Mg 0.043 0.112 0.639
Mg4 Mg 0.158 0.697 0.810
Mg5 Mg 0.209 0.166 0.320
Mg6 Mg 0.250 0.759 0.465
Mg7 Mg 0.291 0.157 0.065
Mg8 Mg 0.347 0.751 0.150
Mg9 Mg 0.375 0.044 0.810
Mg10 Mg 0.509 0.335 0.636
Mg11 Mg 0.513 0.372 0.311
Mg12 Mg 0.515 0.013 0.479
Mg13 Mg 0.571 0.358 0.018
Mg14 Mg 0.692 0.502 0.793
Mg15 Mg 0.707 0.802 0.975
Mg16 Mg 0.774 0.503 0.477
Mg17 Mg 0.831 0.807 0.640
Mg18 Mg 0.836 0.453 0.159
Si1 Si 0.102 0.414 0.711
Si2 Si 0.130 0.572 0.036
Si3 Si 0.179 0.426 0.484
Si4 Si 0.452 0.757 0.645
Si5 Si 0.575 0.759 0.310
Si6 Si 0.635 0.017 0.180
Si7 Si 0.742 0.089 0.818
Si8 Si 0.849 0.096 0.462
Si9 Si 0.932 0.062 0.241
Si10 Si 0.993 0.388 0.928
```

3.
A plane-wave DFT calculation with PBE-GGA was carried out for a relaxed MgBiAsO6 crystal.

V = 139 Å³/f.u.
space-group type = No. 11

CIF file:
```
data_MgBiAsO6
_cell_length_a 6.550
_cell_length_b 5.496
_cell_length_c 8.048
_cell_angle_alpha 90.00
_cell_angle_beta 106.45
_cell_angle_gamma 90.00
_symmetry_space_group_name_H-M 'P 1'
_symmetry_Int_Tables_number 1
loop_
_symmetry_equiv_pos_as_xyz
'x,y,z'
loop_
_atom_site_label
_atom_site_type_symbol
_atom_site_fract_x
_atom_site_fract_y
_atom_site_fract_z
Mg1 Mg 0.119 0.250 0.418
Mg2 Mg 0.881 0.750 0.582
Bi1 Bi 0.192 0.750 0.033
Bi2 Bi 0.808 0.250 0.967
As1 As 0.370 0.750 0.670
As2 As 0.630 0.250 0.330
O1 O 0.039 0.040 0.173
O2 O 0.039 0.460 0.173
O3 O 0.191 0.514 0.609
O4 O 0.191 0.986 0.609
O5 O 0.426 0.250 0.417
O6 O 0.463 0.750 0.896
O7 O 0.537 0.250 0.104
O8 O 0.574 0.750 0.583
O9 O 0.809 0.014 0.391
O10 O 0.809 0.486 0.391
O11 O 0.961 0.540 0.827
O12 O 0.961 0.960 0.827
```

4.
A plane-wave DFT calculation with PBE-GGA was carried out for a relaxed SrLaI5 crystal.

V = 283 Å³/f.u.
space-group type = No. 15

CIF file:
```
data_SrLaI5
_cell_length_a 11.481
_cell_length_b 11.481
_cell_length_c 8.014
_cell_angle_alpha 91.49
_cell_angle_beta 91.49
_cell_angle_gamma 147.46
_symmetry_space_group_name_H-M 'P 1'
_symmetry_Int_Tables_number 1
loop_
_symmetry_equiv_pos_as_xyz
'x,y,z'
loop_
_atom_site_label
_atom_site_type_symbol
_atom_site_fract_x
_atom_site_fract_y
_atom_site_fract_z
Sr1 Sr 0.177 0.823 0.750
Sr2 Sr 0.823 0.177 0.250
La1 La 0.421 0.579 0.750
La2 La 0.579 0.421 0.250
I1 I 0.131 0.869 0.250
I2 I 0.213 0.289 0.393
I3 I 0.289 0.213 0.893
I4 I 0.301 0.694 0.493
I5 I 0.306 0.699 0.007
I6 I 0.694 0.301 0.993
I7 I 0.699 0.306 0.507
I8 I 0.711 0.787 0.107
I9 I 0.787 0.711 0.607
I10 I 0.869 0.131 0.750
```

| no. | ΔH_f (0 K) (eV per atom) |
| --- | --- |
| 1 | -3.368 |
| 2 | 0.038 |
| 3 | -1.614 |
| 4 | -1.795 |